! IrN (PBE, relaxed); values from VASP
! Energy of formation, meV/atom: 1347
! Electronic total energy, eV/atom: -7.06
! Total magnetic moment, μB/f.u.: 0.0
! SG: P-6m2 (187)
&SYSTEM
  ibrav = 0, nat = 2, ntyp = 2
/
ATOMIC_SPECIES
Ir 192.22 Ir.upf
N 14.01 N.upf
CELL_PARAMETERS angstrom
1.405 -2.434 0.000
1.405 2.434 0.000
0.000 0.000 3.173
ATOMIC_POSITIONS angstrom
Ir 1.405 -0.811 0.000
N 1.405 0.811 1.587

---

! InSb3 (PBE, relaxed); values from VASP
! Energy of formation, meV/atom: 45
! Electronic total energy, eV/atom: -3.60
! Total magnetic moment, μB/f.u.: 0.0
! SG: Fm-3m (225)
&SYSTEM
  ibrav = 0, nat = 4, ntyp = 2
/
ATOMIC_SPECIES
In 114.82 In.upf
Sb 121.76 Sb.upf
CELL_PARAMETERS angstrom
0.000 3.795 3.795
3.795 0.000 3.795
3.795 3.795 0.000
ATOMIC_POSITIONS angstrom
In 0.000 0.000 0.000
Sb 1.897 1.897 1.897
Sb 5.692 5.692 5.692
Sb 3.795 3.795 3.795

---

! MnPS3 (PBE, relaxed); values from VASP
! Energy of formation, meV/atom: -701
! Electronic total energy, eV/atom: -5.80
! Total magnetic moment, μB/f.u.: 0.0
&SYSTEM
  ibrav = 0, nat = 20, ntyp = 3
/
ATOMIC_SPECIES
Mn 54.94 Mn.upf
P 30.97 P.upf
S 32.06 S.upf
CELL_PARAMETERS angstrom
1.704 5.139 2.775
7.752 -1.222 1.917
6.017 4.129 -6.921
ATOMIC_POSITIONS angstrom
Mn 8.326 2.196 1.893
Mn 7.163 0.606 -1.091
Mn 8.310 7.441 -1.137
Mn 7.147 5.850 -4.124
P 12.728 3.096 -4.687
P 6.696 4.212 -0.798
P 2.744 4.950 2.457
P 8.777 3.834 -1.432
S 6.788 4.247 1.240
S 5.068 4.352 -4.567
S 8.684 3.800 -3.469
S 10.404 3.694 2.337
S 13.373 6.651 -2.663
S 5.637 2.628 -1.548
S 6.231 0.755 1.377
S 6.215 6.000 -1.655
S 9.241 7.291 -3.606
S 9.257 2.046 -0.575
S 2.099 1.395 0.433
S 9.836 5.418 -0.681

---

! Cs3Li4B7O14 (PBE, relaxed); values from VASP
! Energy of formation, meV/atom: -2695
! Electronic total energy, eV/atom: -6.86
! Total magnetic moment, μB/f.u.: 0.0
! SG: P3_121 (152)
&SYSTEM
  ibrav = 0, nat = 84, ntyp = 4
/
ATOMIC_SPECIES
Cs 132.91 Cs.upf
Li 6.94 Li.upf
B 10.81 B.upf
O 16.00 O.upf
CELL_PARAMETERS angstrom
-6.105 3.357 0.928
0.164 -6.093 -3.501
-3.873 -13.481 23.284
ATOMIC_POSITIONS angstrom
Cs -3.284 -5.075 -1.644
Cs -5.584 -11.077 15.654
Cs -1.457 -8.503 7.253
Cs -3.873 -4.976 5.213
Cs -9.639 -12.573 21.011
Cs -5.606 -6.447 14.651
Cs -0.495 -7.866 0.653
Cs -8.857 -8.138 20.260
Cs -2.399 -6.953 11.442
Li -4.401 -2.189 2.590
Li -7.674 -10.608 18.327
Li -5.524 -5.912 10.826
Li -2.808 -5.917 2.096
Li -5.600 -14.114 18.041
Li -3.436 -9.911 10.256
Li -4.083 -1.674 -0.239
Li -8.085 -8.726 16.168
Li -4.268 -4.256 8.813
Li -3.081 -8.113 3.959
Li -6.874 -15.069 20.457
Li -3.052 -10.813 12.979
B -0.429 -4.020 0.286
B -5.554 -14.499 14.523
B -4.651 -7.214 8.313
B -6.812 -2.893 5.085
B -6.525 -10.880 21.664
B -5.473 -9.145 12.266
B -2.570 -3.573 1.487
B -3.874 -14.109 16.325
B -4.665 -9.704 8.166
B -4.719 -1.546 4.915
B -6.406 -12.259 19.588
B -7.208 -7.461 11.655
B -1.470 -1.709 0.117
B -3.148 -14.010 13.871
B -5.527 -8.312 6.197
B -5.861 -1.836 7.189
B -5.556 -13.224 21.802
B -7.881 -9.559 12.960
B -5.743 -2.644 -2.486
B -2.576 -9.191 15.406
B -1.495 -4.381 7.793
O -0.586 -0.794 0.852
O -2.606 -15.252 13.301
O -6.974 -8.060 6.160
O -6.799 -0.777 7.589
O -4.119 -13.070 22.072
O -8.358 -10.698 12.163
O -5.409 -1.380 1.134
O -6.874 -8.965 17.654
O -4.673 -6.125 9.087
O -1.800 -6.727 3.552
O -6.401 -15.756 18.714
O -4.286 -9.699 11.995
O -4.607 -2.121 -1.994
O -2.545 -10.356 14.737
O -2.662 -3.740 7.970
O -2.532 -2.252 1.039
O -2.883 -13.966 15.355
O -5.248 -9.615 6.902
O -4.800 -1.270 6.280
O -5.798 -13.282 20.315
O -8.182 -8.267 12.245
O -0.645 -2.837 -0.416
O -4.623 -13.982 13.625
O -4.871 -7.191 6.938
O -6.628 -2.897 6.465
O -6.274 -12.047 22.382
O -6.402 -9.698 13.142
O -3.716 -1.076 4.160
O -6.665 -12.384 18.278
O -7.516 -6.284 11.091
O -3.574 -4.029 2.250
O -3.601 -13.992 17.633
O -4.371 -10.888 8.724
O -1.523 -4.455 1.111
O -5.206 -14.373 15.911
O -4.365 -8.507 8.870
O -5.721 -2.356 4.319
O -6.770 -11.062 20.260
O -5.857 -7.897 11.666
O -2.205 -1.015 -0.955
O -2.479 -12.819 13.322
O -5.130 -2.383 8.345